Entry 1:
! MnSb2H18Se4N6 (PBE, relaxed); values from VASP
&SYSTEM
  ibrav = 0, nat = 124, ntyp = 5
/
ATOMIC_SPECIES
Mn 54.94 Mn.upf
Sb 121.76 Sb.upf
H 1.01 H.upf
Se 78.96 Se.upf
N 14.01 N.upf
ATOMIC_POSITIONS angstrom
Mn 12.6405 6.8219 0.6681
Mn 5.9427 5.9046 4.5241
Mn 15.2344 0.4587 4.5241
Mn 3.3489 12.2678 0.6681
Sb 17.8311 8.3194 7.1302
Sb 0.7522 4.4071 3.2742
Sb 10.0438 1.9561 3.2742
Sb 8.5394 10.7703 7.1302
Sb 17.0372 7.4474 3.3717
Sb 1.5461 5.2791 7.2276
Sb 10.8378 1.0842 7.2276
Sb 7.7455 11.6423 3.3717
H 14.3234 5.0967 2.2259
H 4.2599 7.6297 6.0819
H 13.5516 11.4600 6.0819
H 5.0317 1.2665 2.2259
H 13.8287 6.3377 3.1778
H 4.7546 6.3887 7.0338
H 14.0462 12.7010 7.0338
H 4.5370 0.0255 3.1778
H 12.7953 5.0725 2.8485
H 5.7880 7.6540 6.7045
H 15.0796 11.4357 6.7045
H 3.5037 1.2907 2.8485
H 13.2899 9.5249 0.7808
H 5.2934 3.2016 4.6368
H 14.5850 3.1617 4.6368
H 3.9983 9.5648 0.7808
H 14.3589 8.7451 1.7746
H 4.2244 3.9813 5.6306
H 13.5161 2.3819 5.6306
H 5.0672 10.3446 1.7746
H 14.6238 8.8046 0.1386
H 3.9595 3.9219 3.9945
H 13.2511 2.4414 3.9945
H 5.3322 10.2851 0.1386
H 10.9822 7.0902 2.9149
H 7.6011 5.6362 6.7709
H 16.8928 0.7270 6.7709
H 1.6905 11.9995 2.9149
H 11.7178 8.5539 2.7905
H 6.8655 4.1725 6.6465
H 16.1571 2.1907 6.6465
H 2.4262 10.5358 2.7905
H 10.4210 8.1971 1.8288
H 8.1623 4.5294 5.6848
H 17.4539 1.8339 5.6848
H 1.1293 10.8926 1.8288
H 13.7959 4.7779 6.8581
H 4.7874 7.9486 3.0021
H 14.0790 11.1411 3.0021
H 4.5043 1.5853 6.8581
H 14.3373 6.2053 6.1817
H 4.2460 6.5212 2.3257
H 13.5377 12.5685 2.3257
H 5.0456 0.1579 6.1817
H 15.0649 5.5881 7.5087
H 3.5184 7.1384 3.6527
H 12.8100 11.9513 3.6527
H 5.7733 0.7752 7.5087
H 10.6086 4.9685 1.2645
H 7.9747 7.7580 5.1205
H 17.2664 11.3317 5.1205
H 1.3169 1.3948 1.2645
H 10.1615 5.8072 7.6307
H 8.4218 6.9193 3.7748
H 17.7135 12.1704 3.7748
H 0.8698 0.5560 7.6307
H 11.1929 4.5277 7.5152
H 7.3904 8.1988 3.6593
H 16.6820 10.8909 3.6593
H 1.9013 1.8355 7.5152
H 10.7361 8.0130 6.6273
H 7.8472 4.7135 2.7714
H 17.1388 1.6497 2.7714
H 1.4445 11.0767 6.6273
H 12.1846 8.6607 6.1859
H 6.3987 4.0658 2.3299
H 15.6903 2.2974 2.3299
H 2.8930 10.4290 6.1859
H 11.7897 7.1572 5.6799
H 6.7935 5.5692 1.8240
H 16.0852 0.7940 1.8240
H 2.4981 11.9324 5.6799
Se 1.5525 7.6952 0.6123
Se 17.0308 5.0313 4.4683
Se 7.7391 1.3319 4.4683
Se 10.8441 11.3945 0.6123
Se 0.4161 8.5216 4.7665
Se 18.1672 4.2049 0.9106
Se 8.8755 2.1584 0.9106
Se 9.7077 10.5681 4.7665
Se 17.5978 10.7343 0.1528
Se 0.9855 1.9922 4.0087
Se 10.2771 4.3711 4.0087
Se 8.3062 8.3554 0.1528
Se 14.9673 8.3684 4.5210
Se 3.6160 4.3581 0.6651
Se 12.9077 2.0052 0.6651
Se 5.6756 10.7213 4.5210
N 13.5155 5.6847 2.4415
N 5.0678 7.0417 6.2974
N 14.3595 12.0480 6.2974
N 4.2238 0.6785 2.4415
N 13.8980 8.7013 0.8545
N 4.6853 4.0251 4.7105
N 13.9769 2.3381 4.7105
N 4.6064 10.3884 0.8545
N 11.2805 7.8065 2.2455
N 7.3028 4.9200 6.1014
N 16.5944 1.4433 6.1014
N 1.9888 11.2832 2.2455
N 14.1496 5.7181 7.0689
N 4.4336 7.0084 3.2130
N 13.7253 12.0813 3.2130
N 4.8580 0.6452 7.0689
N 10.9571 5.3464 0.3728
N 7.6262 7.3801 4.2288
N 16.9178 11.7096 4.2288
N 1.6655 1.0169 0.3728
N 11.7326 7.7918 6.4806
N 6.8507 4.9346 2.6246
N 16.1424 1.4286 2.6246
N 2.4409 11.2979 6.4806
CELL_PARAMETERS angstrom
18.5833 0.0000 0.0000
0.0000 12.7265 0.0000
0.0000 0.0000 7.7119
! - magnetic moment (μB per atom) = 0.1621
! - final energy (eV/atom) = -4.93
! - calculated volume (Å³ per cell) = 1823.9
! - ρ (g/cm³) = 2.61


Entry 2:
! Dy3Tm (PBE, relaxed); values from VASP
&SYSTEM
  ibrav = 0, nat = 4, ntyp = 2
/
ATOMIC_SPECIES
Dy 162.50 Dy.upf
Tm 168.93 Tm.upf
ATOMIC_POSITIONS angstrom
Dy 0.0000 2.4912 2.4912
Dy 2.4912 0.0000 2.4912
Dy 2.4912 2.4912 0.0000
Tm 0.0000 0.0000 0.0000
CELL_PARAMETERS angstrom
4.9825 0.0000 0.0000
0.0000 4.9825 0.0000
0.0000 0.0000 4.9825
! - final energy (eV/atom) = -4.55
! - calculated volume (Å³ per cell) = 123.7
! - ρ (g/cm³) = 8.81